Below is an optimized crystal structure of MgIn2, with properties calculated at the meta-GGA r2SCAN level.

Values from the calculation:
electronic total energy = -16.497 eV per atom
calculated volume = 24.142 Å³ per atom
ΔE_f = -5 kJ/mol of atoms

The structure in CIF format:
```
data_MgIn2
_chemical_formula_sum 'Mg4 In8'
_symmetry_space_group_name_H-M 'C m c m'
_symmetry_Int_Tables_number 63
_symmetry_space_group_name_Hall '-C 2c 2'
_cell_length_a 3.378
_cell_length_b 16.245
_cell_length_c 5.279
_cell_angle_alpha 90.00
_cell_angle_beta 90.00
_cell_angle_gamma 90.00
loop_
_atom_site_label
_atom_site_fract_x
_atom_site_fract_y
_atom_site_fract_z
Mg1 0.000 0.109 0.250
In1 0.000 0.226 0.750
In2 0.000 0.444 0.250
```


Below is an optimized crystal structure of MgIn2, with properties calculated at the meta-GGA r2SCAN level.

Values from the calculation:
electronic total energy = -16.489 eV per atom
calculated volume = 24.400 Å³ per atom
ΔE_f = -4 kJ/mol of atoms

The structure in CIF format:
```
data_MgIn2
_chemical_formula_sum 'Mg4 In8'
_symmetry_space_group_name_H-M 'C 1 2/m 1'
_symmetry_Int_Tables_number 12
_symmetry_space_group_name_Hall '-C 2y'
_cell_length_a 11.416
_cell_length_b 3.436
_cell_length_c 8.115
_cell_angle_alpha 90.00
_cell_angle_beta 113.10
_cell_angle_gamma 90.00
loop_
_atom_site_label
_atom_site_fract_x
_atom_site_fract_y
_atom_site_fract_z
Mg1 0.193 0.000 0.139
In1 0.025 0.500 0.811
In2 0.141 0.000 0.533
```


Below is an optimized crystal structure of MgIn5, with properties calculated at the meta-GGA r2SCAN level.

Values from the calculation:
electronic total energy = -19.521 eV per atom
calculated volume = 25.416 Å³ per atom
ΔE_f = -1 kJ/mol of atoms

The structure in CIF format:
```
data_MgIn5
_chemical_formula_sum 'Mg2 In10'
_symmetry_space_group_name_H-M 'A m m 2'
_symmetry_Int_Tables_number 38
_symmetry_space_group_name_Hall 'A 2 -2'
_cell_length_a 5.390
_cell_length_b 3.318
_cell_length_c 17.056
_cell_angle_alpha 90.00
_cell_angle_beta 90.00
_cell_angle_gamma 90.00
loop_
_atom_site_label
_atom_site_fract_x
_atom_site_fract_y
_atom_site_fract_z
Mg1 0.000 0.000 0.000
In1 0.000 0.000 0.336
In2 0.000 0.000 0.662
In3 0.500 0.000 0.223
In4 0.500 0.000 0.552
In5 0.500 0.000 0.890
```


Below is an optimized crystal structure of MgIn2, with properties calculated at the meta-GGA r2SCAN level.

Values from the calculation:
electronic total energy = -16.487 eV per atom
calculated volume = 24.414 Å³ per atom
ΔE_f = -4 kJ/mol of atoms

The structure in CIF format:
```
data_MgIn2
_chemical_formula_sum 'Mg4 In8'
_symmetry_space_group_name_H-M 'C 1 m 1'
_symmetry_Int_Tables_number 8
_symmetry_space_group_name_Hall 'C -2y'
_cell_length_a 11.653
_cell_length_b 3.235
_cell_length_c 8.145
_cell_angle_alpha 90.00
_cell_angle_beta 107.44
_cell_angle_gamma 90.00
loop_
_atom_site_label
_atom_site_fract_x
_atom_site_fract_y
_atom_site_fract_z
Mg1 0.000 0.000 0.000
Mg2 0.191 0.500 0.335
In1 0.117 0.500 0.739
In2 0.283 0.000 0.067
In3 0.339 0.000 0.662
In4 0.474 0.500 0.383
```


Below is an optimized crystal structure of Mg2In, with properties calculated at the meta-GGA r2SCAN level.

Values from the calculation:
electronic total energy = -10.427 eV per atom
calculated volume = 22.502 Å³ per atom
ΔE_f = -12 kJ/mol of atoms

The structure in CIF format:
```
data_Mg2In
_chemical_formula_sum 'Mg6 In3'
_symmetry_space_group_name_H-M 'P -6 2 m'
_symmetry_Int_Tables_number 189
_symmetry_space_group_name_Hall 'P -6 -2'
_cell_length_a 8.3589
_cell_length_b 8.3589
_cell_length_c 3.3468
_cell_angle_alpha 90.00
_cell_angle_beta 90.00
_cell_angle_gamma 120.00
loop_
_atom_site_label
_atom_site_fract_x
_atom_site_fract_y
_atom_site_fract_z
Mg1 0.0000 0.2959 0.0000
Mg2 0.0000 0.6321 0.5000
In1 0.0000 0.0000 0.5000
In2 0.3333 0.6667 0.0000
```


Below is an optimized crystal structure of MgIn5, with properties calculated at the meta-GGA r2SCAN level.

Values from the calculation:
electronic total energy = -19.526 eV per atom
calculated volume = 25.408 Å³ per atom
ΔE_f = -1 kJ/mol of atoms

The structure in CIF format:
```
data_MgIn5
_chemical_formula_sum 'Mg1 In5'
_symmetry_space_group_name_H-M 'P -6 m 2'
_symmetry_Int_Tables_number 187
_symmetry_space_group_name_Hall 'P -6 2'
_cell_length_a 3.2989
_cell_length_b 3.2989
_cell_length_c 16.1746
_cell_angle_alpha 90.00
_cell_angle_beta 90.00
_cell_angle_gamma 120.00
loop_
_atom_site_label
_atom_site_fract_x
_atom_site_fract_y
_atom_site_fract_z
Mg1 0.0000 0.0000 0.0000
In1 0.0000 0.0000 0.3228
In2 0.3333 0.6667 0.1554
In3 0.3333 0.6667 0.5000
```


Below is an optimized crystal structure of MgIn2, with properties calculated at the meta-GGA r2SCAN level.

Values from the calculation:
electronic total energy = -16.481 eV per atom
calculated volume = 24.560 Å³ per atom
ΔE_f = -4 kJ/mol of atoms

The structure in CIF format:
```
data_MgIn2
_chemical_formula_sum 'Mg2 In4'
_symmetry_space_group_name_H-M 'P -6 m 2'
_symmetry_Int_Tables_number 187
_symmetry_space_group_name_Hall 'P -6 2'
_cell_length_a 3.3658
_cell_length_b 3.3658
_cell_length_c 15.0200
_cell_angle_alpha 90.00
_cell_angle_beta 90.00
_cell_angle_gamma 120.00
loop_
_atom_site_label
_atom_site_fract_x
_atom_site_fract_y
_atom_site_fract_z
Mg1 0.0000 0.0000 0.1580
In1 0.0000 0.0000 0.5000
In2 0.3333 0.6667 0.0000
In3 0.3333 0.6667 0.3212
```


Below is an optimized crystal structure of Mg2In, with properties calculated at the meta-GGA r2SCAN level.

Values from the calculation:
electronic total energy = -10.404 eV per atom
calculated volume = 22.441 Å³ per atom
ΔE_f = -10 kJ/mol of atoms

The structure in CIF format:
```
data_Mg2In
_chemical_formula_sum 'Mg8 In4'
_symmetry_space_group_name_H-M 'C m c m'
_symmetry_Int_Tables_number 63
_symmetry_space_group_name_Hall '-C 2c 2'
_cell_length_a 3.396
_cell_length_b 15.854
_cell_length_c 5.002
_cell_angle_alpha 90.00
_cell_angle_beta 90.00
_cell_angle_gamma 90.00
loop_
_atom_site_label
_atom_site_fract_x
_atom_site_fract_y
_atom_site_fract_z
Mg1 0.000 0.059 0.250
Mg2 0.000 0.274 0.750
In1 0.000 0.389 0.250
```


Below is an optimized crystal structure of MgIn3, with properties calculated at the meta-GGA r2SCAN level.

Values from the calculation:
electronic total energy = -18.004 eV per atom
calculated volume = 24.923 Å³ per atom
ΔE_f = -3 kJ/mol of atoms

The structure in CIF format:
```
data_MgIn3
_chemical_formula_sum 'Mg2 In6'
_symmetry_space_group_name_H-M 'I m m 2'
_symmetry_Int_Tables_number 44
_symmetry_space_group_name_Hall 'I 2 -2'
_cell_length_a 4.021
_cell_length_b 9.675
_cell_length_c 5.125
_cell_angle_alpha 90.00
_cell_angle_beta 90.00
_cell_angle_gamma 90.00
loop_
_atom_site_label
_atom_site_fract_x
_atom_site_fract_y
_atom_site_fract_z
Mg1 0.000 0.000 0.000
In1 0.000 0.252 0.394
In2 0.000 0.500 0.992
```


Below is an optimized crystal structure of MgIn2, with properties calculated at the meta-GGA r2SCAN level.

Values from the calculation:
electronic total energy = -16.486 eV per atom
calculated volume = 24.381 Å³ per atom
ΔE_f = -4 kJ/mol of atoms

The structure in CIF format:
```
data_MgIn2
_chemical_formula_sum 'Mg6 In12'
_symmetry_space_group_name_H-M 'R 3 2'
_symmetry_Int_Tables_number 155
_symmetry_space_group_name_Hall 'R 3 2"'
_cell_length_a 5.7950
_cell_length_b 5.7950
_cell_length_c 15.0903
_cell_angle_alpha 90.00
_cell_angle_beta 90.00
_cell_angle_gamma 120.00
loop_
_atom_site_label
_atom_site_fract_x
_atom_site_fract_y
_atom_site_fract_z
Mg1 0.0000 0.0000 0.1704
In1 0.0000 0.0000 0.5000
In2 0.0000 0.6762 0.0000
```


Below is an optimized crystal structure of MgIn3, with properties calculated at the meta-GGA r2SCAN level.

Values from the calculation:
electronic total energy = -18.011 eV per atom
calculated volume = 24.611 Å³ per atom
ΔE_f = -3 kJ/mol of atoms

The structure in CIF format:
```
data_MgIn3
_chemical_formula_sum 'Mg2 In6'
_symmetry_space_group_name_H-M 'P 63/m m c'
_symmetry_Int_Tables_number 194
_symmetry_space_group_name_Hall '-P 6c 2c'
_cell_length_a 6.4598
_cell_length_b 6.4598
_cell_length_c 5.4483
_cell_angle_alpha 90.00
_cell_angle_beta 90.00
_cell_angle_gamma 120.00
loop_
_atom_site_label
_atom_site_fract_x
_atom_site_fract_y
_atom_site_fract_z
Mg1 0.3333 0.6667 0.2500
In1 0.1675 0.3350 0.7500
```


Below is an optimized crystal structure of MgIn2, with properties calculated at the meta-GGA r2SCAN level.

Values from the calculation:
electronic total energy = -16.506 eV per atom
calculated volume = 23.970 Å³ per atom
ΔE_f = -6 kJ/mol of atoms

The structure in CIF format:
```
data_MgIn2
_chemical_formula_sum 'Mg2 In4'
_symmetry_space_group_name_H-M 'I 4/m m m'
_symmetry_Int_Tables_number 139
_symmetry_space_group_name_Hall '-I 4 2'
_cell_length_a 3.315
_cell_length_b 3.315
_cell_length_c 13.091
_cell_angle_alpha 90.00
_cell_angle_beta 90.00
_cell_angle_gamma 90.00
loop_
_atom_site_label
_atom_site_fract_x
_atom_site_fract_y
_atom_site_fract_z
Mg1 0.000 0.000 0.000
In1 0.000 0.000 0.339
```